# MnH8SO8 | the Materials Project | PBE+U | optimized geometry
# - energy (eV/cell) = -401.09
# - ΔE_f (eV per atom) = -1.52
data_MnH8SO8
_space_group_name_H-M_alt 'P 1 21/c 1'
_space_group_IT_number 14
_cell_length_a 6.091
_cell_length_b 13.850
_cell_length_c 10.073
_cell_angle_alpha 90.00
_cell_angle_beta 126.97
_cell_angle_gamma 90.00
loop_
_space_group_symop_operation_xyz
'x,y,z'
'-x,-y,-z'
'-x,y+1/2,-z+1/2'
'x,-y+1/2,z+1/2'
loop_
_atom_site_label
_atom_site_type_symbol
_atom_site_fract_x
_atom_site_fract_y
_atom_site_fract_z
Mn1 Mn 0.145 0.102 0.216
H1 H 0.036 0.732 0.718
H2 H 0.101 0.084 0.476
H3 H 0.131 0.516 0.170
H4 H 0.138 0.191 0.723
H5 H 0.343 0.686 0.046
H6 H 0.367 0.602 0.946
H7 H 0.393 0.097 0.051
H8 H 0.466 0.194 0.153
S1 S 0.385 0.610 0.686
O1 O 0.015 0.573 0.145
O2 O 0.030 0.247 0.715
O3 O 0.265 0.552 0.754
O4 O 0.270 0.575 0.515
O5 O 0.308 0.096 0.705
O6 O 0.319 0.146 0.083
O7 O 0.322 0.714 0.685
O8 O 0.441 0.626 0.058



# MnH2S2O8 | the Materials Project | PBE+U | optimized geometry
# - energy (eV/cell) = -159.72
# - ΔE_f (eV per atom) = -1.79
data_MnH2S2O8
_space_group_name_H-M_alt 'P 1 21/c 1'
_space_group_IT_number 14
_cell_length_a 5.139
_cell_length_b 8.462
_cell_length_c 8.520
_cell_angle_alpha 90.00
_cell_angle_beta 116.82
_cell_angle_gamma 90.00
loop_
_space_group_symop_operation_xyz
'x,y,z'
'-x,-y,-z'
'-x,y+1/2,-z+1/2'
'x,-y+1/2,z+1/2'
loop_
_atom_site_label
_atom_site_type_symbol
_atom_site_fract_x
_atom_site_fract_y
_atom_site_fract_z
Mn1 Mn 0.000 0.000 0.000
H1 H 0.436 0.018 0.656
S1 S 0.338 0.678 0.278
O1 O 0.093 0.625 0.307
O2 O 0.304 0.655 0.719
O3 O 0.329 0.585 0.115
O4 O 0.377 0.152 0.071



The highest energy belongs to which entry? MnH2S2O8